Entry 1:
Here is a relaxed FeSnN crystal from the Materials Project database. Energies are from PBE.

a b c (Å): 2.9995 5.1943 12.5517
angles (deg): 90.00 90.00 90.00
Last column: nearest neighbours and their distance in Å.
Space group Cmc2_1 (No. 36)
Symmetry-distinct sites (fractional):
Fe1 0.0000 0.1673 0.0000 (multiplicity 4)  3 N 1.80-1.81
Sn1 0.0000 0.4999 0.1913 (multiplicity 4)  3 Fe 2.96, 6 Sn 3.00
N1 0.0000 0.1662 0.4594 (multiplicity 4)  3 Fe 1.80-1.81

Values from the calculation:
energy of formation from the pure elements: 0.065 eV/atom
electronic total energy: -6.753 eV/atom

Entry 2:
Here is a relaxed Sr3FeN3 crystal from the Materials Project database. Energies are from PBE.

a b c (Å): 7.6427 7.6427 5.3238
angles (deg): 90.00 90.00 120.00
Last column: nearest neighbours and their distance in Å.
Space group P6_3/m (No. 176)
Symmetry-distinct sites (fractional):
Sr1 0.0861 0.3603 0.2500 (multiplicity 6)  5 N 2.66-2.82
Fe1 0.3333 0.6667 0.7500 (multiplicity 2)  3 N 1.75
N1 0.1156 0.4286 0.7500 (multiplicity 6)  1 Fe 1.75

Values from the calculation:
energy of formation from the pure elements: -0.749 eV/atom
electronic total energy: -6.101 eV/atom

Entry 3:
Here is a relaxed Sr5FeN4 crystal from the Materials Project database. Energies are from PBE.

a b c (Å): 10.1207 15.4654 12.9604
angles (deg): 90.00 112.80 90.00
Last column: nearest neighbours and their distance in Å.
Space group P2_1/m (No. 11)
Symmetry-distinct sites (fractional):
Sr1 0.0000 0.0000 0.0000 (multiplicity 2)  4 N 2.66-2.75
Sr2 0.0315 0.1087 0.5177 (multiplicity 4)  5 N 2.52-2.72
Sr3 0.0435 0.7500 0.0479 (multiplicity 2)  3 N 2.59-2.65
Sr4 0.1182 0.1375 0.2869 (multiplicity 4)  3 N 2.54-2.66, 1 Fe 2.82
Sr5 0.1657 0.6156 0.2955 (multiplicity 4)  4 N 2.63-2.82
Sr6 0.1894 0.0242 0.7825 (multiplicity 4)  3 N 2.49-2.56
Sr7 0.2157 0.2500 0.7860 (multiplicity 2)  2 N 2.65
Sr8 0.2399 0.7500 0.8029 (multiplicity 2)  2 N 2.50-2.58, 1 Fe 2.73
Sr9 0.2886 0.1373 0.0749 (multiplicity 4)  3 N 2.53-2.56
Sr10 0.3351 0.0021 0.5464 (multiplicity 4)  4 N 2.62-2.93
Sr11 0.4014 0.2500 0.5941 (multiplicity 2)  3 N 2.64
Sr12 0.4290 0.6276 0.1740 (multiplicity 4)  4 N 2.57-2.72
Sr13 0.4954 0.7500 0.6375 (multiplicity 2)  4 N 2.57-2.78
Fe1 0.1749 0.7500 0.5615 (multiplicity 2)  3 N 1.67-1.79
Fe2 0.3674 0.0468 0.3049 (multiplicity 4)  2 N 1.67-1.68
Fe3 0.4834 0.7500 0.9931 (multiplicity 2)  1 N 1.69
N1 0.0366 0.7500 0.6156 (multiplicity 2)  1 Fe 1.79
N2 0.0458 0.0062 0.3713 (multiplicity 4)  5 Sr 2.49-2.63
N3 0.0795 0.1202 0.8887 (multiplicity 4)  5 Sr 2.53-2.70
N4 0.1630 0.2500 0.1485 (multiplicity 2)  5 Sr 2.55-2.66
N5 0.2423 0.6569 0.5388 (multiplicity 4)  1 Fe 1.67
N6 0.2562 0.0050 0.1819 (multiplicity 4)  1 Fe 1.68
N7 0.2979 0.1265 0.6817 (multiplicity 4)  6 Sr 2.56-2.73
N8 0.3310 0.7500 0.2588 (multiplicity 2)  5 Sr 2.57-2.82
N9 0.3319 0.7500 0.0182 (multiplicity 2)  1 Fe 1.69
N10 0.3911 0.1154 0.4104 (multiplicity 4)  1 Fe 1.67

Values from the calculation:
energy of formation from the pure elements: -0.490 eV/atom
electronic total energy: -5.372 eV/atom

Entry 4:
Here is a relaxed SrFe5N4 crystal from the Materials Project database. Energies are from PBE.

a b c (Å): 5.7747 8.8818 4.4048
angles (deg): 90.00 90.00 90.00
Last column: nearest neighbours and their distance in Å.
Space group Pmmn (No. 59, origin choice 2)
Symmetry-distinct sites (fractional):
Sr1 0.2500 0.2500 0.1885 (multiplicity 2)  6 N 2.56-2.83
Fe1 0.0049 0.5558 0.2457 (multiplicity 8)  3 N 1.78-1.93
Fe2 0.2500 0.7500 0.6116 (multiplicity 2)  2 N 1.81
N1 0.0121 0.7500 0.3430 (multiplicity 4)  3 Fe 1.78-1.81
N2 0.2500 0.5456 0.9474 (multiplicity 4)  4 Fe 1.92-1.93

Values from the calculation:
energy of formation from the pure elements: -0.100 eV/atom
electronic total energy: -7.694 eV/atom

Entry 5:
Here is a relaxed SrFe2N2 crystal from the Materials Project database. Energies are from PBE.

a b c (Å): 3.4249 3.4249 6.2052
angles (deg): 90.00 90.00 120.00
Last column: nearest neighbours and their distance in Å.
Space group P-3m1 (No. 164)
Symmetry-distinct sites (fractional):
Sr1 0.0000 0.0000 0.0000 (multiplicity 1)  6 N 2.71
Fe1 0.3333 0.6667 0.3894 (multiplicity 2)  4 N 1.94-2.06
N1 0.3333 0.6667 0.7016 (multiplicity 2)  4 Fe 1.94-2.06

Values from the calculation:
energy of formation from the pure elements: -0.307 eV/atom
electronic total energy: -7.223 eV/atom

Entry 6:
Here is a relaxed Ta4Fe2N crystal from the Materials Project database. Energies are from PBE.

a b c (Å): 11.6211 11.6211 11.6211
angles (deg): 90.00 90.00 90.00
Last column: nearest neighbours and their distance in Å.
Space group Fd-3m (No. 227, origin choice 2)
Symmetry-distinct sites (fractional):
Ta1 0.0000 0.0000 0.0000 (multiplicity 16)  6 Fe 2.55
Ta2 0.0633 0.3750 0.8750 (multiplicity 48)  2 N 2.18
Fe1 0.0369 0.0369 0.2131 (multiplicity 32)  6 Ta 2.55-2.68
N1 0.0000 0.0000 0.5000 (multiplicity 16)  6 Ta 2.18

Values from the calculation:
energy of formation from the pure elements: -0.552 eV/atom
electronic total energy: -10.887 eV/atom